# 1
{"formula": "Cs3Fe2F9", "functional": "GGA+U", "state": "optimized geometry", "formation_energy_kj_per_mol_fu": -3879, "crystal_system": "hexagonal", "corrected_energy_ev_per_atom": -5.5046, "lattice_angstrom": [[-5.650, 3.080, -0.535], [0.376, -5.494, 3.372], [3.129, 7.919, 12.557]], "species": ["Cs", "Cs", "Cs", "Cs", "Cs", "Cs", "Fe", "Fe", "Fe", "Fe", "F", "F", "F", "F", "F", "F", "F", "F", "F", "F", "F", "F", "F", "F", "F", "F", "F", "F"], "frac_coords": [[0.333, 0.667, 0.750], [0.667, 0.333, 0.250], [0.333, 0.667, 0.433], [0.667, 0.333, 0.933], [0.667, 0.333, 0.567], [0.333, 0.667, 0.067], [0.000, 0.000, 0.153], [0.000, 0.000, 0.653], [0.000, 0.000, 0.847], [0.000, 0.000, 0.347], [0.132, 0.264, 0.250], [0.868, 0.132, 0.750], [0.264, 0.132, 0.750], [0.736, 0.868, 0.250], [0.132, 0.868, 0.250], [0.868, 0.736, 0.750], [0.150, 0.299, 0.595], [0.850, 0.150, 0.095], [0.299, 0.150, 0.095], [0.701, 0.850, 0.595], [0.150, 0.850, 0.595], [0.850, 0.701, 0.405], [0.850, 0.150, 0.405], [0.850, 0.701, 0.095], [0.299, 0.150, 0.405], [0.701, 0.850, 0.905], [0.150, 0.299, 0.905], [0.150, 0.850, 0.905]]}

# 2
{"formula": "FeAs2Pb2O9", "functional": "GGA+U", "state": "optimized geometry", "total_magnetization_mub_per_atom": 0.29, "formation_energy_kj_per_mol_fu": -2200, "crystal_system": "monoclinic", "corrected_energy_ev_per_atom": -6.6102, "lattice_angstrom": [[-0.313, 5.635, -2.078], [-3.499, -2.700, -6.794], [-9.015, -0.316, 0.502]], "species": ["Fe", "Fe", "As", "As", "As", "As", "Pb", "Pb", "Pb", "Pb", "O", "O", "O", "O", "O", "O", "O", "O", "O", "O", "O", "O", "O", "O", "O", "O", "O", "O"], "frac_coords": [[0.500, 0.000, 0.000], [0.000, 0.000, 0.000], [0.250, 0.973, 0.337], [0.750, 0.027, 0.663], [0.250, 0.568, 0.172], [0.750, 0.432, 0.828], [0.250, 0.695, 0.754], [0.750, 0.305, 0.246], [0.250, 0.295, 0.614], [0.750, 0.705, 0.386], [0.250, 0.749, 0.460], [0.750, 0.251, 0.540], [0.250, 0.473, 0.035], [0.750, 0.527, 0.965], [0.250, 0.804, 0.069], [0.750, 0.196, 0.931], [0.250, 0.151, 0.926], [0.750, 0.849, 0.074], [0.250, 0.112, 0.435], [0.750, 0.888, 0.565], [0.483, 0.507, 0.294], [0.517, 0.493, 0.706], [0.983, 0.493, 0.706], [0.017, 0.507, 0.294], [0.990, 0.990, 0.782], [0.010, 0.010, 0.218], [0.490, 0.010, 0.218], [0.510, 0.990, 0.782]]}

# 3
{"formula": "MgFe5CuO8", "functional": "GGA+U", "state": "optimized geometry", "total_magnetization_mub_per_atom": 1.53, "formation_energy_kj_per_mol_fu": -2155, "crystal_system": "monoclinic", "e_above_lowest_polymorph_mev_per_atom": 79.6, "corrected_energy_ev_per_atom": -7.3310, "lattice_angstrom": [[6.253, 0.002, -0.154], [3.129, 5.415, -0.154], [3.001, 1.733, 5.007]], "species": ["Mg", "Fe", "Fe", "Fe", "Fe", "Fe", "Cu", "O", "O", "O", "O", "O", "O", "O", "O"], "frac_coords": [[0.784, 0.784, 0.210], [0.081, 0.081, 0.903], [0.117, 0.641, 0.618], [0.641, 0.117, 0.618], [0.570, 0.570, 0.151], [0.572, 0.572, 0.699], [0.225, 0.225, 0.276], [0.355, 0.355, 0.438], [0.363, 0.363, 0.872], [0.399, 0.817, 0.404], [0.817, 0.399, 0.404], [0.442, 0.857, 0.845], [0.857, 0.442, 0.845], [0.899, 0.899, 0.366], [0.899, 0.899, 0.832]]}